No. 1
First-principles (GGA-PBE) data for crystalline Te3MoWSe at its relaxed geometry, as listed in the Materials Project database.

Cell: 3.501 3.501 39.612 Å, 90.00 90.00 120.00°
Fractional positions:
Te1 0.000 0.000 0.000
Te2 0.000 0.000 0.092
Te3 0.667 0.333 0.188
Te4 0.667 0.333 0.281
Te5 0.667 0.333 0.563
Te6 0.667 0.333 0.656
Mo1 0.667 0.333 0.046
Mo2 0.667 0.333 0.422
W1 0.000 0.000 0.234
W2 0.000 0.000 0.610
Se1 0.000 0.000 0.381
Se2 0.000 0.000 0.463

Its formation enthalpy at 0 K is -0.335 eV/atom. As for the excess energy over the best structure of this formula in the dataset: 20 meV per atom.



No. 2
First-principles (GGA-PBE) data for crystalline Te3MoWSe at its relaxed geometry, as listed in the Materials Project database.

Cell: 3.497 3.497 39.635 Å, 90.00 90.00 120.00°
Fractional positions:
Te1 0.000 0.000 0.000
Te2 0.000 0.000 0.092
Te3 0.000 0.000 0.376
Te4 0.000 0.000 0.468
Te5 0.667 0.333 0.563
Te6 0.667 0.333 0.656
Mo1 0.667 0.333 0.046
Mo2 0.667 0.333 0.422
W1 0.000 0.000 0.234
W2 0.000 0.000 0.610
Se1 0.667 0.333 0.193
Se2 0.667 0.333 0.275

Its formation enthalpy at 0 K is -0.353 eV/atom. As for the excess energy over the best structure of this formula in the dataset: 1 meV per atom.



No. 3
First-principles (GGA-PBE) data for crystalline Te3MoWSe at its relaxed geometry, as listed in the Materials Project database.

Cell: 3.501 3.501 39.618 Å, 90.00 90.00 120.00°
Fractional positions:
Te1 0.000 0.000 0.000
Te2 0.000 0.000 0.092
Te3 0.667 0.333 0.188
Te4 0.667 0.333 0.281
Te5 0.667 0.333 0.812
Te6 0.667 0.333 0.905
Mo1 0.667 0.333 0.046
Mo2 0.667 0.333 0.670
W1 0.000 0.000 0.234
W2 0.000 0.000 0.858
Se1 0.000 0.000 0.630
Se2 0.000 0.000 0.711

Its formation enthalpy at 0 K is -0.335 eV/atom. As for the excess energy over the best structure of this formula in the dataset: 20 meV per atom.



No. 4
First-principles (GGA-PBE) data for crystalline Te4MoW3Se4 at its relaxed geometry, as listed in the Materials Project database.

Cell: 3.437 3.437 39.214 Å, 90.00 90.00 120.00°
Fractional positions:
Te1 0.000 0.000 0.000
Te2 0.000 0.000 0.095
Te3 0.333 0.667 0.812
Te4 0.333 0.667 0.907
Mo1 0.000 0.000 0.860
W1 0.000 0.000 0.484
W2 0.333 0.667 0.048
W3 0.333 0.667 0.672
Se1 0.000 0.000 0.630
Se2 0.000 0.000 0.714
Se3 0.333 0.667 0.442
Se4 0.333 0.667 0.526

Its formation enthalpy at 0 K is -0.495 eV/atom. As for the excess energy over the best structure of this formula in the dataset: 1 meV per atom.



Looking at total energy after the MP2020 corrections for the records above, in order, we have -38.74; -38.85; -38.74; -82.21 eV/f.u..